*P*
! GGA-PBE CeSmO2, relaxed; values from VASP
! **Calculated density**: 8.68 g cm⁻³
&SYSTEM
  ibrav = 0, nat = 8, ntyp = 3
/
ATOMIC_SPECIES
O 16.00 O.upf
Ce 140.12 Ce.upf
Sm 150.36 Sm.upf
ATOMIC_POSITIONS angstrom
O 0.018 2.478 0.003
O 2.491 2.467 2.483
O 4.989 2.473 4.964
O 4.957 -0.003 2.448
Ce 2.488 -0.014 2.482
Ce 4.993 -0.011 4.967
Sm 4.980 2.483 2.481
Sm 2.500 2.478 4.966
CELL_PARAMETERS angstrom
0.000 4.974 0.000
2.492 -2.486 4.977
4.984 0.000 0.001

***

*Q*
! GGA-PBE CeSmO2, relaxed; values from VASP
! **Calculated density**: 8.68 g cm⁻³
&SYSTEM
  ibrav = 0, nat = 8, ntyp = 3
/
ATOMIC_SPECIES
Sm 150.36 Sm.upf
Ce 140.12 Ce.upf
O 16.00 O.upf
ATOMIC_POSITIONS angstrom
Sm 1.674 -2.908 9.317
Sm 2.708 -1.436 1.656
Ce -0.444 -2.999 1.789
Ce 0.841 -1.462 4.683
O -0.031 -3.716 4.087
O 0.407 -0.707 2.265
O -0.857 -2.281 -0.510
O 1.254 -2.179 6.981
CELL_PARAMETERS angstrom
4.002 0.086 4.598
-2.320 -3.009 4.767
0.590 -1.527 -5.872

***

Short version: *Q* is the least stable of them.

***

*P*
! GGA-PBE TeMoWSeS2, relaxed; values from VASP
! **Calculated density**: 5.12 g cm⁻³
&SYSTEM
  ibrav = 0, nat = 12, ntyp = 5
/
ATOMIC_SPECIES
Te 127.60 Te.upf
S 32.06 S.upf
Mo 95.94 Mo.upf
Se 78.96 Se.upf
W 183.84 W.upf
ATOMIC_POSITIONS angstrom
Te 1.655 0.956 22.824
Te 1.655 0.956 26.672
S 1.655 0.956 12.134
S 1.655 -0.956 19.202
S 1.655 0.956 9.079
S 1.655 -0.956 16.150
Mo 1.655 0.956 17.676
Mo 1.655 -0.956 10.607
Se 1.655 -0.956 1.846
Se 1.655 -0.956 5.224
W 1.655 -0.956 24.749
W 1.655 0.956 3.535
CELL_PARAMETERS angstrom
1.655 -2.867 0.000
1.655 2.867 0.000
0.000 0.000 37.637

***

*Q*
! GGA-PBE TeMoWSeS2, relaxed; values from VASP
! **Calculated density**: 4.92 g cm⁻³
&SYSTEM
  ibrav = 0, nat = 12, ntyp = 5
/
ATOMIC_SPECIES
S 32.06 S.upf
Se 78.96 Se.upf
Mo 95.94 Mo.upf
W 183.84 W.upf
Te 127.60 Te.upf
ATOMIC_POSITIONS angstrom
S -4.660 2.435 1.728
S -16.638 16.650 13.991
S -14.772 14.783 12.422
S -2.805 0.579 0.168
Se -11.720 9.500 7.665
Se -13.774 11.556 9.392
Mo -8.210 5.987 4.713
Mo -2.230 2.232 1.875
W -11.245 11.253 9.455
W -17.209 14.993 12.280
Te -5.544 5.547 4.661
Te -7.869 7.874 6.616
CELL_PARAMETERS angstrom
0.335 2.306 -2.345
-2.423 -2.238 -0.217
-23.877 23.894 20.078

***

Short version: *P* is the least stable of them.

***

*P*
! GGA-PBE Mg14CuC, relaxed; values from VASP
! **Calculated density**: 2.05 g cm⁻³
&SYSTEM
  ibrav = 0, nat = 16, ntyp = 3
/
ATOMIC_SPECIES
Mg 24.30 Mg.upf
C 12.01 C.upf
Cu 63.55 Cu.upf
ATOMIC_POSITIONS angstrom
Mg -6.003 1.169 0.521
Mg -5.129 -2.849 0.238
Mg -2.601 -3.442 -0.910
Mg -8.624 -0.701 -3.746
Mg -3.936 -0.797 2.667
Mg -9.343 1.521 1.731
Mg -7.276 -1.340 1.659
Mg -4.410 -2.509 -3.016
Mg -6.550 -0.954 -1.576
Mg -3.129 -0.368 -0.934
Mg -8.536 1.951 -1.870
Mg -3.294 -3.811 2.179
Mg -6.722 0.804 3.773
Mg -9.327 -1.049 -0.489
C -2.322 -0.569 4.596
Cu -1.727 -0.519 1.279
CELL_PARAMETERS angstrom
-1.205 -4.534 -4.267
-1.456 -0.774 6.494
-8.454 3.625 -1.464

***

*Q*
! GGA-PBE Mg14CuC, relaxed; values from VASP
! **Calculated density**: 2.14 g cm⁻³
&SYSTEM
  ibrav = 0, nat = 16, ntyp = 3
/
ATOMIC_SPECIES
Mg 24.30 Mg.upf
C 12.01 C.upf
Cu 63.55 Cu.upf
ATOMIC_POSITIONS angstrom
Mg 3.073 3.548 8.638
Mg 4.673 0.924 3.728
Mg 1.536 4.436 1.231
Mg 1.473 0.924 3.728
Mg 3.073 1.787 6.157
Mg 3.073 1.773 1.231
Mg 4.673 0.924 8.586
Mg 0.000 3.475 8.586
Mg -1.536 4.436 1.231
Mg 3.073 3.548 3.676
Mg 1.473 0.924 8.586
Mg 1.547 4.429 6.157
Mg 0.000 3.475 3.728
Mg -1.547 4.429 6.157
C 0.000 1.774 6.157
Cu 0.000 1.774 1.231
CELL_PARAMETERS angstrom
6.146 0.000 0.000
-3.073 5.323 0.000
0.000 0.000 9.851

***

Short version: *Q* is the least stable of them.

***

*P*
! GGA-PBE ZrCrCuS4, relaxed; values from VASP
! **Calculated density**: 4.30 g cm⁻³
&SYSTEM
  ibrav = 0, nat = 14, ntyp = 4
/
ATOMIC_SPECIES
S 32.06 S.upf
Zr 91.22 Zr.upf
Cr 52.00 Cr.upf
Cu 63.55 Cu.upf
ATOMIC_POSITIONS angstrom
S -1.639 -1.120 -4.372
S -1.595 0.921 -1.464
S -7.077 -2.110 -1.441
S -5.289 0.987 -1.441
S -3.428 -4.218 -4.372
S -5.333 -1.052 -4.348
S -7.122 -4.151 -4.348
S -3.383 -2.178 -1.464
Zr -5.253 -3.164 -2.906
Zr -3.464 -0.066 -2.906
Cr -3.514 -6.233 -2.976
Cr -6.991 -0.095 -2.837
Cu -7.054 -0.058 0.139
Cu -8.716 -3.230 -5.813
CELL_PARAMETERS angstrom
-3.578 -6.197 0.000
-5.265 3.040 0.139
0.127 -0.073 -5.952

***

*Q*
! GGA-PBE ZrCrCuS4, relaxed; values from VASP
! **Calculated density**: 3.69 g cm⁻³
&SYSTEM
  ibrav = 0, nat = 28, ntyp = 4
/
ATOMIC_SPECIES
S 32.06 S.upf
Cu 63.55 Cu.upf
Cr 52.00 Cr.upf
Zr 91.22 Zr.upf
ATOMIC_POSITIONS angstrom
S 5.244 1.586 8.666
S 5.072 5.263 9.187
S 2.535 4.511 2.144
S 4.407 0.064 5.077
S 1.274 1.996 5.118
S 3.709 6.625 12.423
S 0.598 4.836 11.997
S 3.880 2.993 11.834
S 4.489 4.015 5.729
S 2.014 7.276 9.178
S 2.508 0.681 1.646
S 5.868 6.237 2.835
S 1.080 5.896 5.681
S 5.792 2.652 2.241
S 2.069 3.322 8.577
S 0.722 1.044 11.338
Cu 1.631 2.720 12.946
Cu 4.813 4.680 1.162
Cu 0.795 1.451 9.051
Cu 5.615 5.943 5.102
Cr 4.086 3.224 9.639
Cr 1.499 6.508 13.603
Cr 2.436 0.313 3.917
Cr 4.055 7.091 10.207
Zr 5.565 2.118 4.597
Zr 2.335 4.179 4.556
Zr 0.844 5.190 9.608
Zr 4.985 0.769 12.994
CELL_PARAMETERS angstrom
6.514 -0.022 0.576
-0.079 7.434 1.158
-0.011 -0.038 12.452

***

Short version: *Q* is the least stable of them.